1.
Below is a relaxed structure of Ni3Se3O10, with properties calculated at the PBE with a Hubbard U level.

Calculated values
DFT formation energy in eV per atom: -1.108
Total magnetization in μB/cell: 16.00

a = 8.175 Å, b = 8.217 Å, c = 8.310 Å
α = 61.59°, β = 70.62°, γ = 68.05°
Positions (direct):
1 Ni 0.869 0.712 0.396
2 Ni 0.131 0.288 0.604
3 Ni 0.970 0.341 0.210
4 Ni 0.030 0.659 0.790
5 Ni 0.500 0.500 0.500
6 Ni 0.000 0.000 0.000
7 Se 0.235 0.572 0.230
8 Se 0.765 0.428 0.770
9 Se 0.327 0.200 0.949
10 Se 0.673 0.800 0.051
11 Se 0.324 0.830 0.693
12 Se 0.676 0.170 0.307
13 O 0.715 0.306 0.390
14 O 0.285 0.694 0.610
15 O 0.268 0.063 0.530
16 O 0.732 0.937 0.470
17 O 0.214 0.131 0.856
18 O 0.786 0.869 0.144
19 O 0.486 0.288 0.767
20 O 0.514 0.712 0.233
21 O 0.134 0.809 0.873
22 O 0.866 0.191 0.127
23 O 0.894 0.210 0.761
24 O 0.106 0.790 0.239
25 O 0.877 0.908 0.682
26 O 0.123 0.092 0.318
27 O 0.314 0.442 0.439
28 O 0.686 0.558 0.561
29 O 0.169 0.404 0.977
30 O 0.831 0.596 0.023
31 O 0.049 0.466 0.331
32 O 0.951 0.534 0.669

2.
Below is a relaxed structure of Sr2NiSe3O9, with properties calculated at the PBE with a Hubbard U level.

Calculated values
DFT formation energy in eV per atom: -1.984
Total magnetization in μB/cell: 0.00

a = 7.444 Å, b = 10.351 Å, c = 12.989 Å
α = 82.00°, β = 97.24°, γ = 107.37°
Positions (direct):
1 Sr 0.748 0.488 0.401
2 Sr 0.748 0.988 0.901
3 Sr 0.252 0.512 0.599
4 Sr 0.252 0.012 0.099
5 Sr 0.872 0.606 0.087
6 Sr 0.872 0.106 0.587
7 Sr 0.128 0.394 0.913
8 Sr 0.128 0.894 0.413
9 Ni 0.594 0.793 0.458
10 Ni 0.406 0.207 0.542
11 Ni 0.594 0.294 0.958
12 Ni 0.406 0.706 0.042
13 Se 0.595 0.621 0.834
14 Se 0.595 0.121 0.334
15 Se 0.405 0.379 0.166
16 Se 0.405 0.879 0.666
17 Se 0.859 0.189 0.105
18 Se 0.859 0.689 0.605
19 Se 0.141 0.811 0.895
20 Se 0.141 0.311 0.395
21 Se 0.735 0.362 0.726
22 Se 0.735 0.861 0.226
23 Se 0.265 0.638 0.274
24 Se 0.265 0.139 0.774
25 O 0.864 0.352 0.049
26 O 0.864 0.852 0.549
27 O 0.136 0.648 0.951
28 O 0.136 0.148 0.451
29 O 0.007 0.151 0.029
30 O 0.007 0.651 0.529
31 O 0.993 0.849 0.971
32 O 0.993 0.349 0.471
33 O 0.976 0.424 0.724
34 O 0.976 0.924 0.224
35 O 0.024 0.576 0.276
36 O 0.024 0.076 0.776
37 O 0.641 0.103 0.046
38 O 0.641 0.603 0.546
39 O 0.359 0.897 0.954
40 O 0.359 0.397 0.454
41 O 0.566 0.729 0.916
42 O 0.566 0.229 0.416
43 O 0.434 0.271 0.084
44 O 0.434 0.771 0.584
45 O 0.675 0.762 0.123
46 O 0.675 0.263 0.623
47 O 0.325 0.238 0.877
48 O 0.325 0.737 0.377
49 O 0.727 0.248 0.840
50 O 0.727 0.747 0.340
51 O 0.273 0.752 0.160
52 O 0.273 0.253 0.660
53 O 0.334 0.498 0.076
54 O 0.335 0.999 0.576
55 O 0.666 0.502 0.924
56 O 0.665 0.001 0.424
57 O 0.630 0.461 0.211
58 O 0.631 0.961 0.711
59 O 0.370 0.539 0.789
60 O 0.369 0.039 0.289

3.
Below is a relaxed structure of Si4NiO10, with properties calculated at the PBE with a Hubbard U level.

Calculated values
Energy above the lowest structure with this stoichiometry in eV/atom: 0.000
DFT formation energy in eV per atom: -2.564
Total magnetization in μB/cell: 5.97

a = 7.336 Å, b = 7.336 Å, c = 15.844 Å
α = 90.00°, β = 90.00°, γ = 90.10°
Positions (direct):
1 Si 0.177 0.256 0.900
2 Si 0.823 0.744 0.900
3 Si 0.256 0.177 0.100
4 Si 0.756 0.323 0.900
5 Si 0.244 0.677 0.900
6 Si 0.323 0.756 0.100
7 Si 0.677 0.244 0.100
8 Si 0.744 0.823 0.100
9 Si 0.323 0.244 0.600
10 Si 0.677 0.756 0.600
11 Si 0.244 0.323 0.400
12 Si 0.744 0.177 0.600
13 Si 0.256 0.823 0.600
14 Si 0.177 0.744 0.400
15 Si 0.823 0.256 0.400
16 Si 0.756 0.677 0.400
17 Ni 0.500 0.000 0.841
18 Ni 0.000 0.500 0.159
19 Ni 0.000 0.500 0.659
20 Ni 0.500 0.000 0.341
21 O 0.280 0.103 0.842
22 O 0.720 0.897 0.842
23 O 0.103 0.280 0.158
24 O 0.607 0.224 0.838
25 O 0.393 0.776 0.838
26 O 0.224 0.607 0.162
27 O 0.776 0.393 0.162
28 O 0.897 0.720 0.158
29 O 0.220 0.397 0.658
30 O 0.780 0.603 0.658
31 O 0.397 0.220 0.342
32 O 0.893 0.276 0.662
33 O 0.107 0.724 0.662
34 O 0.276 0.893 0.338
35 O 0.724 0.107 0.338
36 O 0.248 0.039 0.620
37 O 0.603 0.780 0.342
38 O 0.748 0.539 0.880
39 O 0.461 0.252 0.120
40 O 0.960 0.247 0.880
41 O 0.040 0.753 0.880
42 O 0.247 0.960 0.120
43 O 0.753 0.040 0.120
44 O 0.539 0.748 0.120
45 O 0.711 0.711 0.500
46 O 0.789 0.211 0.500
47 O 0.211 0.789 0.500
48 O 0.289 0.289 0.500
49 O 0.789 0.789 0.000
50 O 0.711 0.289 0.000
51 O 0.289 0.711 0.000
52 O 0.211 0.211 0.000
53 O 0.961 0.752 0.380
54 O 0.747 0.460 0.380
55 O 0.253 0.540 0.380
56 O 0.460 0.747 0.620
57 O 0.540 0.253 0.620
58 O 0.039 0.248 0.380
59 O 0.752 0.961 0.620
60 O 0.252 0.461 0.880